1.
Crystalline BaSrEu4O8 at its relaxed geometry. Source: Materials Project, functional PBE.

Values from the calculation:
Formation enthalpy at 0 K: -3.106 eV per atom
Crystal system: orthorhombic
E (MP2020): -9.122 eV per atom

Cell lengths 3.5873, 12.4607, 10.5263 Å; angles 90.00, 90.00, 90.00 degrees
Space group Pmc2_1 (No. 26)
Symmetry-distinct sites (fractional):
Ba 0.0000 0.1002 0.0000
Sr 0.5000 0.3985 0.5071
Eu 0.0000 0.1423 0.3309
Eu 0.0000 0.3633 0.8270
Eu 0.5000 0.1433 0.6737
Eu 0.5000 0.3653 0.1769
O 0.0000 0.0354 0.7398
O 0.0000 0.2744 0.6241
O 0.0000 0.3329 0.3338
O 0.0000 0.4272 0.0371
O 0.5000 0.0817 0.4659
O 0.5000 0.1775 0.1805
O 0.5000 0.2345 0.8701
O 0.5000 0.4628 0.7535

---

2.
Crystalline Eu4As7Ir8 at its relaxed geometry. Source: Materials Project, functional PBE.

Values from the calculation:
Formation enthalpy at 0 K: -0.691 eV per atom
Crystal system: monoclinic

Cell lengths 13.2846, 4.1605, 13.6590 Å; angles 90.00, 98.65, 90.00 degrees
Space group P2_1/m (No. 11)
Symmetry-distinct sites (fractional):
Eu 0.0139 0.2500 0.2090
Eu 0.2142 0.7500 0.6042
Eu 0.2872 0.7500 0.9354
Eu 0.3973 0.7500 0.2940
As 0.0302 0.2500 0.6281
As 0.1091 0.2500 0.9366
As 0.1892 0.7500 0.1895
As 0.2445 0.2500 0.4176
As 0.3481 0.2500 0.7799
As 0.4046 0.2500 0.0868
As 0.4426 0.7500 0.6002
Ir 0.0536 0.2500 0.4517
Ir 0.0737 0.7500 0.0285
Ir 0.1555 0.7500 0.3614
Ir 0.1652 0.2500 0.7715
Ir 0.2219 0.2500 0.1022
Ir 0.4203 0.2500 0.5020
Ir 0.4449 0.7500 0.7796
Ir 0.4847 0.2500 0.9276